Entry from Materials Project: crystalline Li4MnCo3O8 at its relaxed geometry (GGA+U).

abc: 2.980 2.980 19.610
angles: 95.79 95.79 58.49
Element x y z (fractional)
Li 0.124 0.124 0.376
Li 0.375 0.375 0.127
Li 0.625 0.625 0.873
Li 0.876 0.876 0.624
Mn 0.000 0.000 0.000
Co 0.249 0.249 0.749
Co 0.500 0.500 0.500
Co 0.751 0.751 0.251
O 0.065 0.065 0.193
O 0.188 0.188 0.558
O 0.339 0.339 0.942
O 0.434 0.434 0.307
O 0.566 0.566 0.693
O 0.661 0.661 0.058
O 0.812 0.812 0.442
O 0.935 0.935 0.807

raw total energy: -5.81 eV per atom

---

Entry from Materials Project: crystalline Li5MnCo2O8 at its relaxed geometry (GGA+U).

abc: 5.133 5.133 10.211
angles: 99.40 99.40 32.85
Element x y z (fractional)
Li 0.000 0.000 0.000
Li 0.250 0.250 0.367
Li 0.257 0.257 0.884
Li 0.743 0.743 0.116
Li 0.750 0.750 0.633
Mn 0.000 0.000 0.500
Co 0.491 0.491 0.231
Co 0.509 0.509 0.769
O 0.109 0.109 0.677
O 0.114 0.114 0.197
O 0.378 0.378 0.076
O 0.390 0.390 0.555
O 0.610 0.610 0.445
O 0.622 0.622 0.924
O 0.886 0.886 0.803
O 0.891 0.891 0.323

raw total energy: -5.71 eV per atom

---

Entry from Materials Project: crystalline Li4MnCo3O8 at its relaxed geometry (GGA+U).

abc: 5.874 5.874 5.155
angles: 107.13 107.13 59.90
Element x y z (fractional)
Li 0.249 0.249 0.002
Li 0.250 0.750 0.000
Li 0.750 0.250 0.000
Li 0.751 0.751 0.998
Mn 0.500 0.500 0.500
Co 0.000 0.000 0.500
Co 0.000 0.500 0.500
Co 0.500 0.000 0.500
O 0.135 0.135 0.271
O 0.146 0.615 0.270
O 0.380 0.380 0.725
O 0.385 0.854 0.730
O 0.615 0.146 0.270
O 0.620 0.620 0.275
O 0.854 0.385 0.730
O 0.865 0.865 0.729

raw total energy: -5.87 eV per atom

---

Entry from Materials Project: crystalline Li6Mn3CoO10 at its relaxed geometry (GGA+U).

abc: 5.022 5.081 7.678
angles: 83.23 72.89 72.11
Element x y z (fractional)
Li 0.000 0.000 0.000
Li 0.092 0.496 0.809
Li 0.319 0.489 0.391
Li 0.502 0.499 0.996
Li 0.686 0.506 0.610
Li 0.908 0.500 0.195
Mn 0.195 0.005 0.606
Mn 0.411 0.988 0.195
Mn 0.592 0.013 0.805
Co 0.816 0.988 0.388
O 0.079 0.206 0.388
O 0.167 0.759 0.207
O 0.281 0.221 0.999
O 0.353 0.779 0.788
O 0.442 0.235 0.611
O 0.573 0.764 0.381
O 0.648 0.220 0.215
O 0.718 0.778 0.001
O 0.826 0.243 0.801
O 0.920 0.790 0.611

raw total energy: -6.15 eV per atom

---

Entry from Materials Project: crystalline Li3MnCoO5 at its relaxed geometry (GGA+U).

abc: 5.031 5.122 7.738
angles: 83.78 71.32 71.05
Element x y z (fractional)
Li 0.000 0.000 0.000
Li 0.092 0.501 0.813
Li 0.186 0.996 0.621
Li 0.398 0.997 0.214
Li 0.600 0.996 0.806
Li 0.792 0.999 0.417
Mn 0.497 0.496 0.008
Mn 0.898 0.496 0.209
Co 0.298 0.488 0.426
Co 0.699 0.507 0.619
O 0.029 0.271 0.404
O 0.155 0.710 0.207
O 0.240 0.276 0.026
O 0.367 0.730 0.822
O 0.445 0.267 0.600
O 0.566 0.726 0.399
O 0.651 0.276 0.202
O 0.737 0.717 0.025
O 0.809 0.263 0.824
O 0.943 0.733 0.603

raw total energy: -5.95 eV per atom

---

Entry from Materials Project: crystalline Li4MnCo2O7 at its relaxed geometry (GGA+U).

abc: 2.978 8.085 10.674
angles: 78.33 86.00 89.05
Element x y z (fractional)
Li 0.000 0.000 0.000
Li 0.010 0.493 0.994
Li 0.127 0.562 0.722
Li 0.285 0.140 0.429
Li 0.417 0.705 0.144
Li 0.565 0.291 0.862
Li 0.717 0.857 0.568
Li 0.861 0.419 0.285
Mn 0.280 0.639 0.428
Mn 0.563 0.775 0.861
Co 0.126 0.069 0.718
Co 0.434 0.222 0.138
Co 0.705 0.352 0.574
Co 0.859 0.928 0.284
O 0.019 0.241 0.013
O 0.031 0.752 0.983
O 0.103 0.824 0.732
O 0.119 0.308 0.707
O 0.254 0.883 0.424
O 0.308 0.394 0.437
O 0.419 0.433 0.149
O 0.452 0.978 0.151
O 0.541 0.025 0.848
O 0.576 0.549 0.856
O 0.685 0.594 0.567
O 0.732 0.112 0.581
O 0.833 0.163 0.279
O 0.884 0.689 0.285

raw total energy: -5.79 eV per atom

---

Entry from Materials Project: crystalline Li7Mn2Co3O12 at its relaxed geometry (GGA+U).

abc: 7.767 7.767 10.222
angles: 108.80 108.80 21.70
Element x y z (fractional)
Li 0.000 0.000 0.000
Li 0.163 0.163 0.245
Li 0.164 0.164 0.746
Li 0.495 0.495 0.756
Li 0.505 0.505 0.244
Li 0.836 0.836 0.254
Li 0.837 0.837 0.755
Mn 0.337 0.337 0.997
Mn 0.663 0.663 0.003
Co 0.000 0.000 0.500
Co 0.333 0.333 0.501
Co 0.667 0.667 0.499
O 0.087 0.087 0.383
O 0.095 0.095 0.890
O 0.244 0.244 0.613
O 0.245 0.245 0.106
O 0.407 0.407 0.883
O 0.422 0.422 0.385
O 0.578 0.578 0.615
O 0.593 0.593 0.117
O 0.755 0.755 0.894
O 0.756 0.756 0.387
O 0.905 0.905 0.110
O 0.913 0.913 0.617

raw total energy: -5.90 eV per atom

---

Entry from Materials Project: crystalline Li5MnCo2O8 at its relaxed geometry (GGA+U).

abc: 5.870 5.870 4.969
angles: 105.77 105.77 60.45
Element x y z (fractional)
Li 0.000 0.000 0.000
Li 0.000 0.500 0.000
Li 0.249 0.249 0.496
Li 0.500 0.000 0.000
Li 0.751 0.751 0.504
Mn 0.500 0.500 0.000
Co 0.240 0.760 0.500
Co 0.760 0.240 0.500
O 0.118 0.118 0.723
O 0.159 0.621 0.750
O 0.379 0.841 0.250
O 0.384 0.384 0.241
O 0.616 0.616 0.759
O 0.621 0.159 0.750
O 0.841 0.379 0.250
O 0.882 0.882 0.277

raw total energy: -5.73 eV per atom

---

| no. | offset from the most stable computed form (eV per atom) |
| --- | --- |
| 1 | 0.0855 |
| 2 | 0.0544 |
| 3 | 0.0233 |
| 4 | 0.0148 |
| 5 | 0.0139 |
| 6 | 0.0838 |
| 7 | 0.0332 |
| 8 | 0.0400 |